Computed, not measured: Li4TiNi3O8 after structural relaxation at the PBE+U level of DFT.

- DFT formation energy: -1.998 eV per atom
- Spin magnetization: 4.00 μB per formula unit
- VASP energy: -182.62 eV per cell

a = 5.915 Å, b = 5.963 Å, c = 8.173 Å
α = 89.51°, β = 89.98°, γ = 90.00°
Fractional coordinates of all 32 atoms:
Li 0.000 0.000 0.500
Li 0.500 0.500 0.000
Li 0.248 0.748 0.751
Li 0.752 0.252 0.249
Li 0.252 0.248 0.251
Li 0.748 0.752 0.749
Li 0.000 0.500 0.000
Li 0.500 0.000 0.500
Ti 0.000 0.000 0.000
Ti 0.500 0.500 0.500
Ni 0.251 0.250 0.750
Ni 0.749 0.751 0.250
Ni 0.500 0.000 0.000
Ni 0.249 0.750 0.250
Ni 0.751 0.250 0.750
Ni 0.000 0.500 0.500
O 0.998 0.539 0.252
O 0.502 0.038 0.752
O 0.498 0.962 0.248
O 0.002 0.461 0.748
O 0.260 0.262 0.514
O 0.758 0.763 0.014
O 0.242 0.237 0.986
O 0.740 0.738 0.486
O 0.258 0.737 0.486
O 0.760 0.238 0.987
O 0.240 0.762 0.013
O 0.742 0.263 0.514
O 0.001 0.987 0.763
O 0.499 0.487 0.263
O 0.501 0.513 0.737
O 0.999 0.013 0.237